(1)
{
  "formula": "Al2Sb5Se6Br9",
  "functional": "GGA-PBE",
  "state": "relaxed",
  "cell": [[-1.466, -5.376, -8.037], [20.805, -11.317, 3.775], [-18.019, -15.856, 13.892]],
  "species": ["Br", "Se", "Br", "Br", "Br", "Se", "Br", "Br", "Br", "Br", "Se", "Al", "Br", "Br", "Al", "Al", "Al", "Br", "Se", "Sb", "Br", "Se", "Br", "Se", "Se", "Al", "Br", "Sb", "Sb", "Br", "Br", "Al", "Se", "Sb", "Br", "Br", "Sb", "Sb", "Br", "Al", "Se", "Br", "Br", "Se", "Br", "Br", "Se", "Sb", "Se", "Sb", "Sb", "Al", "Br", "Sb", "Br", "Br", "Br", "Se", "Sb", "Se", "Sb", "Se", "Al", "Br", "Br", "Br", "Se", "Br", "Sb", "Br", "Br", "Sb", "Br", "Se", "Br", "Al", "Br", "Se", "Br", "Sb", "Br", "Se", "Se", "Br", "Se", "Br", "Sb", "Sb", "Br", "Br", "Sb", "Se", "Se", "Sb", "Se", "Sb", "Sb", "Se", "Se", "Br", "Sb", "Se", "Sb", "Br", "Se", "Br", "Se", "Br", "Br", "Se", "Se", "Sb", "Sb", "Br", "Al", "Sb", "Se", "Se", "Br", "Br", "Sb", "Br", "Br", "Sb", "Br", "Se", "Se", "Se", "Br", "Br", "Br", "Br", "Br", "Br", "Se", "Br", "Al", "Sb", "Se", "Sb", "Se", "Sb", "Sb", "Se", "Al", "Br", "Al", "Br", "Sb", "Br", "Se", "Br", "Sb", "Sb", "Br", "Se", "Br", "Al", "Sb", "Se", "Sb", "Se", "Br", "Br", "Br", "Se", "Se", "Sb", "Al", "Br", "Br", "Sb", "Se", "Se", "Sb", "Br"],
  "fractional_positions": [[0.563, 0.521, 0.421], [0.202, 0.846, 0.359], [0.779, 0.624, 0.366], [0.437, 0.479, 0.579], [0.029, 0.525, 0.823], [0.270, 0.870, 0.494], [0.563, 0.979, 0.579], [0.204, 0.061, 0.628], [0.165, 0.673, 0.008], [0.056, 0.578, 0.094], [0.076, 0.770, 0.565], [0.738, 0.038, 0.806], [0.431, 0.879, 0.913], [0.200, 0.770, 0.810], [0.738, 0.462, 0.194], [0.262, 0.538, 0.806], [0.231, 0.904, 0.957], [0.944, 0.422, 0.906], [0.265, 0.607, 0.369], [0.723, 0.814, 0.148], [0.382, 0.042, 0.181], [0.735, 0.393, 0.631], [0.057, 0.045, 0.454], [0.708, 0.011, 0.243], [0.265, 0.893, 0.631], [0.226, 0.145, 0.687], [0.279, 0.541, 0.725], [0.048, 0.843, 0.436], [0.078, 0.405, 0.066], [0.086, 0.144, 0.754], [0.971, 0.475, 0.177], [0.774, 0.645, 0.687], [0.708, 0.489, 0.757], [0.452, 0.378, 0.041], [0.452, 0.338, 0.288], [0.684, 0.662, 0.502], [0.078, 0.095, 0.934], [0.048, 0.657, 0.564], [0.753, 0.788, 0.838], [0.741, 0.914, 0.564], [0.230, 0.364, 0.984], [0.431, 0.621, 0.087], [0.086, 0.356, 0.246], [0.798, 0.346, 0.359], [0.835, 0.173, 0.008], [0.548, 0.662, 0.712], [0.691, 0.564, 0.886], [0.952, 0.157, 0.564], [0.575, 0.726, 0.937], [0.241, 0.627, 0.201], [0.708, 0.250, 0.500], [0.259, 0.414, 0.564], [0.382, 0.458, 0.819], [0.797, 0.750, 0.000], [0.943, 0.545, 0.454], [0.665, 0.378, 0.141], [0.844, 0.781, 0.350], [0.770, 0.636, 0.016], [0.277, 0.186, 0.852], [0.050, 0.309, 0.097], [0.084, 0.549, 0.300], [0.292, 0.989, 0.757], [0.226, 0.355, 0.313], [0.569, 0.121, 0.087], [0.057, 0.455, 0.546], [0.279, 0.959, 0.275], [0.969, 0.362, 0.737], [0.914, 0.644, 0.754], [0.452, 0.122, 0.959], [0.684, 0.838, 0.498], [0.753, 0.712, 0.162], [0.530, 0.075, 0.301], [0.800, 0.230, 0.190], [0.459, 0.759, 0.599], [0.029, 0.975, 0.177], [0.259, 0.086, 0.436], [0.944, 0.078, 0.094], [0.924, 0.230, 0.435], [0.156, 0.281, 0.350], [0.426, 0.853, 0.413], [0.665, 0.122, 0.859], [0.735, 0.107, 0.369], [0.230, 0.136, 0.016], [0.800, 0.270, 0.810], [0.459, 0.741, 0.401], [0.437, 0.021, 0.421], [0.574, 0.353, 0.413], [0.759, 0.373, 0.799], [0.221, 0.124, 0.366], [0.204, 0.439, 0.372], [0.470, 0.575, 0.301], [0.437, 0.831, 0.732], [0.798, 0.154, 0.641], [0.292, 0.750, 0.500], [0.969, 0.138, 0.263], [0.922, 0.595, 0.934], [0.235, 0.713, 0.346], [0.076, 0.730, 0.435], [0.031, 0.638, 0.263], [0.779, 0.876, 0.634], [0.235, 0.787, 0.654], [0.541, 0.259, 0.599], [0.916, 0.451, 0.700], [0.221, 0.376, 0.634], [0.924, 0.270, 0.565], [0.200, 0.730, 0.190], [0.309, 0.064, 0.886], [0.844, 0.719, 0.650], [0.796, 0.561, 0.628], [0.270, 0.630, 0.506], [0.202, 0.654, 0.641], [0.723, 0.686, 0.852], [0.916, 0.049, 0.300], [0.971, 0.025, 0.823], [0.231, 0.596, 0.043], [0.574, 0.147, 0.587], [0.437, 0.669, 0.268], [0.950, 0.809, 0.097], [0.618, 0.542, 0.181], [0.156, 0.219, 0.650], [0.426, 0.647, 0.587], [0.835, 0.327, 0.992], [0.165, 0.827, 0.992], [0.470, 0.925, 0.699], [0.721, 0.041, 0.725], [0.950, 0.691, 0.903], [0.031, 0.862, 0.737], [0.425, 0.226, 0.937], [0.335, 0.878, 0.141], [0.618, 0.958, 0.819], [0.569, 0.379, 0.913], [0.721, 0.459, 0.275], [0.335, 0.622, 0.859], [0.943, 0.955, 0.546], [0.563, 0.169, 0.268], [0.730, 0.019, 0.979], [0.741, 0.586, 0.436], [0.548, 0.878, 0.041], [0.541, 0.241, 0.401], [0.203, 0.250, 0.000], [0.730, 0.130, 0.506], [0.765, 0.287, 0.654], [0.765, 0.213, 0.346], [0.425, 0.274, 0.063], [0.769, 0.404, 0.957], [0.452, 0.162, 0.712], [0.769, 0.096, 0.043], [0.270, 0.981, 0.021], [0.922, 0.905, 0.066], [0.316, 0.338, 0.498], [0.309, 0.436, 0.114], [0.730, 0.481, 0.021], [0.277, 0.314, 0.148], [0.548, 0.622, 0.959], [0.796, 0.939, 0.372], [0.691, 0.936, 0.114], [0.548, 0.838, 0.288], [0.262, 0.962, 0.194], [0.530, 0.425, 0.699], [0.563, 0.331, 0.732], [0.084, 0.951, 0.700], [0.575, 0.774, 0.063], [0.270, 0.519, 0.979], [0.056, 0.922, 0.906], [0.247, 0.212, 0.162], [0.770, 0.864, 0.984], [0.730, 0.370, 0.494], [0.241, 0.873, 0.799], [0.774, 0.855, 0.313], [0.316, 0.162, 0.502], [0.247, 0.288, 0.838], [0.952, 0.343, 0.436], [0.050, 0.191, 0.903], [0.292, 0.511, 0.243], [0.759, 0.127, 0.201], [0.914, 0.856, 0.246]],
  "magnetic_moment_mub_per_fu": 0.0,
  "space_group": "P2/c, No. 13",
  "ef_ev_per_atom": -0.884,
  "e_tot_ev_per_atom": -3.568
}



(2)
{
  "formula": "Cs2ScAgBr6",
  "functional": "GGA-PBE",
  "state": "relaxed",
  "cell": [[4.674, -4.859, 4.106], [3.647, 2.591, 6.504], [-2.272, -2.599, 7.100]],
  "species": ["Br", "Sc", "Br", "Cs", "Br", "Cs", "Br", "Br", "Ag", "Br"],
  "fractional_positions": [[0.760, 0.760, 0.240], [0.000, 0.000, 0.000], [0.240, 0.760, 0.760], [0.750, 0.750, 0.750], [0.240, 0.240, 0.760], [0.250, 0.250, 0.250], [0.240, 0.760, 0.240], [0.760, 0.240, 0.760], [0.500, 0.500, 0.500], [0.760, 0.240, 0.240]],
  "magnetic_moment_mub_per_fu": 0.0,
  "space_group": "Fm-3m, No. 225",
  "ef_ev_per_atom": -1.838,
  "e_tot_ev_per_atom": -3.595
}



(3)
{
  "formula": "Fe9Co7",
  "functional": "GGA-PBE",
  "state": "relaxed",
  "cell": [[-2.809, -4.943, -0.398], [1.502, -1.284, 5.346], [-4.726, 2.530, 1.936]],
  "species": ["Fe", "Fe", "Co", "Co", "Co", "Fe", "Fe", "Co", "Fe", "Fe", "Co", "Fe", "Fe", "Co", "Fe", "Co"],
  "fractional_positions": [[0.250, 0.250, 0.750], [0.250, 0.750, 0.250], [0.500, 0.500, 0.000], [0.000, 0.000, 0.500], [0.000, 0.500, 0.000], [0.750, 0.250, 0.250], [0.750, 0.250, 0.750], [0.000, 0.500, 0.500], [0.250, 0.250, 0.250], [0.250, 0.750, 0.750], [0.500, 0.500, 0.500], [0.750, 0.750, 0.250], [0.000, 0.000, 0.000], [0.500, 0.000, 0.500], [0.750, 0.750, 0.750], [0.500, 0.000, 0.000]],
  "space_group": "Pm-3m, No. 221",
  "ef_ev_per_atom": -0.068,
  "e_tot_ev_per_atom": -7.942
}



Number 2 is which compound? Cs2ScAgBr6